Compound: BaGd2O4
Source: the Materials Project
Functional: GGA-PBE
Structure: relaxed

Properties
**Formation energy from the elements**: -348 kJ per mole of atoms
**Mass density**: 7.39 g cm⁻³
**Raw total energy**: -10.3364 eV/atom

Cell lengths 3.5395, 10.6007, 12.3574 Å; angles 90.00, 90.00, 90.00 degrees
Last column: nearest neighbours and their distance in Å.
Positions (direct):
Ba 0.7500 0.2530 0.8516  8 O 2.75-2.99
Ba 0.2500 0.7470 0.1484  8 O 2.75-2.99
Ba 0.7500 0.7530 0.6484  8 O 2.75-2.99
Ba 0.2500 0.2470 0.3516  8 O 2.75-2.99
Gd 0.2500 0.5750 0.3887  6 O 2.30-2.40
Gd 0.7500 0.4250 0.6113  6 O 2.30-2.40
Gd 0.2500 0.0750 0.1113  6 O 2.30-2.40
Gd 0.7500 0.9250 0.8887  6 O 2.30-2.40
Gd 0.7500 0.9225 0.3900  6 O 2.30-2.42
Gd 0.2500 0.0775 0.6100  6 O 2.30-2.42
Gd 0.7500 0.4225 0.1100  6 O 2.30-2.42
Gd 0.2500 0.5775 0.8900  6 O 2.30-2.42
O 0.2500 0.5711 0.5745  3 Gd 2.30-2.40
O 0.7500 0.4289 0.4255  3 Gd 2.30-2.40
O 0.2500 0.0711 0.9255  3 Gd 2.30-2.40
O 0.7500 0.9289 0.0745  3 Gd 2.30-2.40
O 0.2500 0.4817 0.2171  3 Gd 2.30-2.34
O 0.7500 0.5183 0.7829  3 Gd 2.30-2.34
O 0.2500 0.9817 0.2829  3 Gd 2.30-2.34
O 0.7500 0.0183 0.7171  3 Gd 2.30-2.34
O 0.2500 0.8829 0.5189  3 Gd 2.35-2.42
O 0.7500 0.1171 0.4811  3 Gd 2.35-2.42
O 0.2500 0.3829 0.9811  3 Gd 2.35-2.42
O 0.7500 0.6171 0.0189  3 Gd 2.35-2.42
O 0.7500 0.7097 0.3371  3 Gd 2.35-2.36
O 0.2500 0.2903 0.6629  3 Gd 2.35-2.36
O 0.7500 0.2097 0.1629  3 Gd 2.35-2.36
O 0.2500 0.7903 0.8371  3 Gd 2.35-2.36

=====

Compound: BaGd2PdO5
Source: the Materials Project
Functional: GGA-PBE
Structure: relaxed

Properties
**Formation energy from the elements**: -291 kJ per mole of atoms
**Mass density**: 8.01 g cm⁻³
**Raw total energy**: -9.2992 eV/atom

Cell lengths 6.6701, 6.6701, 5.9487 Å; angles 90.00, 90.00, 90.00 degrees
Last column: nearest neighbours and their distance in Å.
Positions (direct):
Ba 0.0000 0.0000 0.0000  10 O 2.97-2.99
Ba 0.5000 0.5000 0.0000  10 O 2.97-2.99
Gd 0.1746 0.3254 0.5000  4 O 2.26-2.46
Gd 0.8254 0.6746 0.5000  4 O 2.26-2.46
Gd 0.3254 0.8254 0.5000  4 O 2.26-2.46
Gd 0.6746 0.1746 0.5000  4 O 2.26-2.46
Pd 0.0000 0.5000 0.0000  4 O 2.02
Pd 0.5000 0.0000 0.0000  4 O 2.02
O 0.8587 0.3587 0.2559  1 Pd 2.02, 1 Gd 2.26
O 0.3587 0.1413 0.2559  1 Pd 2.02, 1 Gd 2.26
O 0.3587 0.1413 0.7441  1 Pd 2.02, 1 Gd 2.26
O 0.6413 0.8587 0.7441  1 Pd 2.02, 1 Gd 2.26
O 0.8587 0.3587 0.7441  1 Pd 2.02, 1 Gd 2.26
O 0.1413 0.6413 0.2559  1 Pd 2.02, 1 Gd 2.26
O 0.5000 0.5000 0.5000  4 Gd 2.46
O 0.1413 0.6413 0.7441  1 Pd 2.02, 1 Gd 2.26
O 0.0000 0.0000 0.5000  4 Gd 2.46
O 0.6413 0.8587 0.2559  1 Pd 2.02, 1 Gd 2.26

=====

Compound: BaGd2PtO5
Source: the Materials Project
Functional: GGA-PBE
Structure: relaxed

Properties
**Formation energy from the elements**: -291 kJ per mole of atoms
**Mass density**: 9.05 g cm⁻³
**Raw total energy**: -9.3966 eV/atom

Cell lengths 6.6890, 6.6890, 5.9627 Å; angles 90.00, 90.00, 90.00 degrees
Last column: nearest neighbours and their distance in Å.
Positions (direct):
Ba 0.0000 0.0000 0.0000  10 O 2.98-3.01
Ba 0.5000 0.5000 0.0000  10 O 2.98-3.01
Gd 0.8245 0.6755 0.5000  4 O 2.26-2.47
Gd 0.6755 0.1755 0.5000  4 O 2.26-2.47
Gd 0.3245 0.8245 0.5000  4 O 2.26-2.47
Gd 0.1755 0.3245 0.5000  4 O 2.26-2.47
Pt 0.5000 0.0000 0.0000  4 O 2.03
Pt 0.0000 0.5000 0.0000  4 O 2.03
O 0.5000 0.5000 0.5000  4 Gd 2.47
O 0.0000 0.0000 0.5000  4 Gd 2.47
O 0.1399 0.6399 0.2581  1 Pt 2.03, 1 Gd 2.26
O 0.8601 0.3601 0.2581  1 Pt 2.03, 1 Gd 2.26
O 0.3601 0.1399 0.2581  1 Pt 2.03, 1 Gd 2.26
O 0.6399 0.8601 0.2581  1 Pt 2.03, 1 Gd 2.26
O 0.1399 0.6399 0.7419  1 Pt 2.03, 1 Gd 2.26
O 0.6399 0.8601 0.7419  1 Pt 2.03, 1 Gd 2.26
O 0.8601 0.3601 0.7419  1 Pt 2.03, 1 Gd 2.26
O 0.3601 0.1399 0.7419  1 Pt 2.03, 1 Gd 2.26

=====

Compound: Ba2GdReO6
Source: the Materials Project
Functional: GGA-PBE
Structure: relaxed

Properties
**Formation energy from the elements**: -290 kJ per mole of atoms
**Mass density**: 7.68 g cm⁻³
**Raw total energy**: -8.6014 eV/atom
**Energy above the most stable polymorph in this dataset**: 0.000 eV per atom

Cell lengths 6.0229, 6.0229, 6.0229 Å; angles 60.00, 60.00, 60.00 degrees
Last column: nearest neighbours and their distance in Å.
Positions (direct):
Ba 0.2500 0.2500 0.2500  12 O 3.01
Ba 0.7500 0.7500 0.7500  12 O 3.01
Gd 0.5000 0.5000 0.5000  6 O 2.27
Re 0.0000 0.0000 0.0000  6 O 1.98
O 0.7670 0.2330 0.2330  1 Re 1.98
O 0.2330 0.7670 0.7670  1 Re 1.98
O 0.2330 0.7670 0.2330  1 Re 1.98
O 0.7670 0.2330 0.7670  1 Re 1.98
O 0.2330 0.2330 0.7670  1 Re 1.98
O 0.7670 0.7670 0.2330  1 Re 1.98